Record 1
An optimized crystal structure of MnFeBO4, computed with GGA+U.

```
data_MnFeBO4
_space_group_name_H-M_alt 'P 1 m 1'
_space_group_IT_number 6
_cell_length_a 9.5083
_cell_length_b 3.2248
_cell_length_c 9.5367
_cell_angle_alpha 90.00
_cell_angle_beta 90.58
_cell_angle_gamma 90.00
loop_
_space_group_symop_operation_xyz
'x,y,z'
'x,-y,z'
loop_
_atom_site_label
_atom_site_type_symbol
_atom_site_fract_x
_atom_site_fract_y
_atom_site_fract_z
_atom_site_occupancy
Mn1 Mn 0.0000 0.0000 0.0000 1
Mn2 Mn 0.2001 0.5000 0.6150 1
Mn3 Mn 0.5003 0.0000 0.1230 1
Mn4 Mn 0.7077 0.5000 0.4968 1
Fe1 Fe 0.2152 0.5000 0.2451 1
Fe2 Fe 0.4847 0.0000 0.7411 1
Fe3 Fe 0.7188 0.5000 0.8791 1
Fe4 Fe 0.9808 0.0000 0.3731 1
B1 B 0.2663 0.5000 0.9366 1
B2 B 0.4349 0.0000 0.4349 1
B3 B 0.7734 0.5000 0.1838 1
B4 B 0.9365 0.0000 0.6854 1
O1 O 0.0792 0.0000 0.6843 1
O2 O 0.0971 0.0000 0.1875 1
O3 O 0.1130 0.5000 0.4209 1
O4 O 0.1236 0.5000 0.9351 1
O5 O 0.3402 0.5000 0.0630 1
O6 O 0.3408 0.5000 0.8076 1
O7 O 0.3572 0.0000 0.3086 1
O8 O 0.3625 0.0000 0.5634 1
O9 O 0.5770 0.0000 0.4339 1
O10 O 0.5976 0.0000 0.9207 1
O11 O 0.6072 0.5000 0.6960 1
O12 O 0.6317 0.5000 0.1734 1
O13 O 0.8433 0.5000 0.3118 1
O14 O 0.8497 0.5000 0.0567 1
O15 O 0.8581 0.0000 0.5622 1
O16 O 0.8667 0.0000 0.8173 1
```

Computed properties:
Total magnetization = 9.75 μB/f.u.
Calculated formation energy = -2.186 eV/atom
Volume = 10.443 Å³/atom

=====

Record 2
An optimized crystal structure of FeBP2NO9, computed with GGA+U.

```
data_FeBP2NO9
_space_group_name_H-M_alt 'P 1 21/c 1'
_space_group_IT_number 14
_cell_length_a 9.5688
_cell_length_b 8.4200
_cell_length_c 9.7019
_cell_angle_alpha 90.00
_cell_angle_beta 102.24
_cell_angle_gamma 90.00
loop_
_space_group_symop_operation_xyz
'x,y,z'
'-x,-y,-z'
'-x,y+1/2,-z+1/2'
'x,-y+1/2,z+1/2'
loop_
_atom_site_label
_atom_site_type_symbol
_atom_site_fract_x
_atom_site_fract_y
_atom_site_fract_z
_atom_site_occupancy
Fe1 Fe 0.2130 0.1490 0.4338 1
B1 B 0.3364 0.5578 0.1942 1
P1 P 0.0752 0.0643 0.7052 1
P2 P 0.4238 0.2424 0.2181 1
N1 N 0.1918 0.6027 0.5559 1
O1 O 0.0735 0.0082 0.3104 1
O2 O 0.0915 0.1657 0.5784 1
O3 O 0.1092 0.1591 0.8440 1
O4 O 0.1891 0.5780 0.2205 1
O5 O 0.3060 0.5462 0.0412 1
O6 O 0.3426 0.1339 0.3007 1
O7 O 0.3661 0.2222 0.0587 1
O8 O 0.4134 0.0805 0.7640 1
O9 O 0.4135 0.7033 0.2456 1
```

Computed properties:
Total magnetization = 6.00 μB/f.u.
Calculated formation energy = -1.688 eV/atom
Volume = 13.641 Å³/atom